i.
The following is a PBE-GGA calculation of a relaxed SrH16O10 crystal, from Materials Project.

Geometry as CIF:
```
data_SrH16O10
_space_group_name_H-M_alt 'P 1'
_space_group_IT_number 1
_space_group_name_Hall 'P 1'
_cell_length_a 6.3386
_cell_length_b 6.3793
_cell_length_c 11.4095
_cell_angle_alpha 88.11
_cell_angle_beta 88.76
_cell_angle_gamma 87.84
loop_
_atom_site_label
_atom_site_type_symbol
_atom_site_fract_x
_atom_site_fract_y
_atom_site_fract_z
Sr1 Sr 0.0000 0.0000 0.0000
Sr2 Sr 0.0267 0.0100 0.5069
H1 H 0.0339 0.5442 0.6258
H2 H 0.1343 0.3172 0.7977
H3 H 0.1823 0.7327 0.2762
H4 H 0.1998 0.2565 0.2103
H5 H 0.2332 0.6169 0.3976
H6 H 0.2725 0.6004 0.6269
H7 H 0.2767 0.3757 0.0942
H8 H 0.2986 0.3838 0.8910
H9 H 0.3116 0.9144 0.7878
H10 H 0.3738 0.2759 0.3852
H11 H 0.3775 0.7199 0.8770
H12 H 0.3847 0.7024 0.0964
H13 H 0.3949 0.2194 0.6211
H14 H 0.4267 0.9320 0.1375
H15 H 0.4315 0.0519 0.3373
H16 H 0.4750 0.9834 0.6070
H17 H 0.5405 0.6493 0.4728
H18 H 0.6030 0.2750 0.0888
H19 H 0.6424 0.3070 0.8739
H20 H 0.6493 0.0724 0.8200
H21 H 0.6692 0.8613 0.4276
H22 H 0.6900 0.7421 0.6164
H23 H 0.7092 0.1581 0.2004
H24 H 0.7146 0.6424 0.8778
H25 H 0.7163 0.7996 0.2879
H26 H 0.7221 0.3813 0.3945
H27 H 0.7241 0.6035 0.0936
H28 H 0.7342 0.3742 0.6093
H29 H 0.8446 0.2643 0.7153
H30 H 0.9405 0.4428 0.3418
H31 H 0.9446 0.6701 0.8192
H32 H 0.9549 0.5438 0.1345
O1 O 0.1183 0.6896 0.3534
O2 O 0.1264 0.6667 0.6265
O3 O 0.1493 0.3096 0.1330
O4 O 0.1563 0.3170 0.8815
O5 O 0.2944 0.8569 0.8681
O6 O 0.3095 0.1544 0.3515
O7 O 0.3135 0.8290 0.1358
O8 O 0.3456 0.0710 0.6353
O9 O 0.4864 0.5047 0.4674
O10 O 0.4938 0.4467 0.5945
O11 O 0.5022 0.4919 0.0467
O12 O 0.5126 0.4963 0.9158
O13 O 0.6509 0.9034 0.3405
O14 O 0.6653 0.1330 0.1202
O15 O 0.6759 0.8574 0.5583
O16 O 0.7394 0.1850 0.8422
O17 O 0.8234 0.7477 0.8526
O18 O 0.8521 0.6647 0.1288
O19 O 0.8546 0.3198 0.3612
O20 O 0.8819 0.3181 0.6333
```

ii.
The following is a PBE-GGA calculation of a relaxed SrH16O10 crystal, from Materials Project.

Geometry as CIF:
```
data_SrH16O10
_space_group_name_H-M_alt 'P 1'
_space_group_IT_number 1
_space_group_name_Hall 'P 1'
_cell_length_a 6.2425
_cell_length_b 6.3057
_cell_length_c 11.4313
_cell_angle_alpha 92.11
_cell_angle_beta 91.72
_cell_angle_gamma 90.56
loop_
_atom_site_label
_atom_site_type_symbol
_atom_site_fract_x
_atom_site_fract_y
_atom_site_fract_z
Sr1 Sr 0.0000 0.0000 0.0000
Sr2 Sr 0.0339 0.0134 0.4870
H1 H 0.0087 0.4810 0.6191
H2 H 0.0485 0.4534 0.1324
H3 H 0.0622 0.3200 0.7794
H4 H 0.0796 0.5696 0.3401
H5 H 0.2134 0.7548 0.7052
H6 H 0.2753 0.3669 0.8685
H7 H 0.2782 0.8069 0.2075
H8 H 0.2823 0.3986 0.0890
H9 H 0.2967 0.1841 0.2780
H10 H 0.3100 0.1831 0.6998
H11 H 0.3171 0.6240 0.3837
H12 H 0.3190 0.6326 0.5965
H13 H 0.3702 0.6988 0.8808
H14 H 0.3951 0.7262 0.0940
H15 H 0.4090 0.9404 0.8534
H16 H 0.4263 0.3023 0.5951
H17 H 0.4271 0.2880 0.3859
H18 H 0.5702 0.0561 0.1388
H19 H 0.5801 0.9921 0.6116
H20 H 0.6010 0.9562 0.3406
H21 H 0.6057 0.2643 0.8748
H22 H 0.6170 0.2882 0.0949
H23 H 0.6508 0.7243 0.3838
H24 H 0.6557 0.7547 0.5988
H25 H 0.7029 0.0847 0.7844
H26 H 0.7040 0.6108 0.8861
H27 H 0.7288 0.6217 0.0947
H28 H 0.7568 0.3928 0.3858
H29 H 0.7663 0.4082 0.6037
H30 H 0.8120 0.7463 0.2109
H31 H 0.8339 0.2680 0.2728
H32 H 0.9336 0.6041 0.8295
O1 O 0.1474 0.3328 0.1214
O2 O 0.1615 0.2593 0.8373
O3 O 0.1799 0.7004 0.6236
O4 O 0.1810 0.6908 0.3516
O5 O 0.2933 0.8324 0.8549
O6 O 0.3315 0.8578 0.1325
O7 O 0.3588 0.1482 0.3547
O8 O 0.3605 0.1599 0.6191
O9 O 0.4885 0.4877 0.9146
O10 O 0.5013 0.4988 0.0453
O11 O 0.5372 0.5135 0.5605
O12 O 0.5379 0.5096 0.4298
O13 O 0.6702 0.1176 0.8662
O14 O 0.6881 0.1603 0.1310
O15 O 0.7115 0.9039 0.6126
O16 O 0.7184 0.8524 0.3468
O17 O 0.8407 0.6954 0.8747
O18 O 0.8608 0.6897 0.1339
O19 O 0.8871 0.3221 0.3509
O20 O 0.9141 0.3536 0.6260
```

iii.
The following is a PBE-GGA calculation of a relaxed SrH16O10 crystal, from Materials Project.

Geometry as CIF:
```
data_SrH16O10
_space_group_name_H-M_alt 'C 1 c 1'
_space_group_IT_number 9
_space_group_name_Hall 'C -2yc'
_cell_length_a 9.7080
_cell_length_b 8.7523
_cell_length_c 11.4097
_cell_angle_alpha 90.00
_cell_angle_beta 95.51
_cell_angle_gamma 90.00
loop_
_atom_site_label
_atom_site_type_symbol
_atom_site_fract_x
_atom_site_fract_y
_atom_site_fract_z
Sr1 Sr 0.0000 0.0116 0.0000
H1 H 0.0606 0.3292 0.8954
H2 H 0.0666 0.3325 0.6044
H3 H 0.0986 0.2241 0.7923
H4 H 0.1492 0.1533 0.3569
H5 H 0.1816 0.1948 0.6306
H6 H 0.1933 0.4339 0.0844
H7 H 0.2067 0.4591 0.3701
H8 H 0.2380 0.0931 0.2143
H9 H 0.2682 0.1675 0.0943
H10 H 0.2776 0.2858 0.3571
H11 H 0.3011 0.4096 0.1956
H12 H 0.3278 0.2768 0.5935
H13 H 0.3791 0.0505 0.4278
H14 H 0.4350 0.2775 0.7806
H15 H 0.4562 0.1512 0.6056
H16 H 0.4642 0.1735 0.8946
O1 O 0.0250 0.4918 0.0665
O2 O 0.0844 0.2216 0.6318
O3 O 0.1014 0.2287 0.8789
O4 O 0.2242 0.0764 0.1259
O5 O 0.2494 0.1358 0.3557
O6 O 0.2940 0.4094 0.1078
O7 O 0.2949 0.4126 0.3553
O8 O 0.4213 0.2610 0.6290
O9 O 0.4640 0.2814 0.8669
O10 O 0.4792 0.0090 0.4386
```

iv.
The following is a PBE-GGA calculation of a relaxed SrH16O10 crystal, from Materials Project.

Geometry as CIF:
```
data_SrH16O10
_space_group_name_H-M_alt 'C 1 2 1'
_space_group_IT_number 5
_space_group_name_Hall 'C 2y'
_cell_length_a 8.8756
_cell_length_b 9.1265
_cell_length_c 6.7939
_cell_angle_alpha 90.00
_cell_angle_beta 91.21
_cell_angle_gamma 90.00
loop_
_atom_site_label
_atom_site_type_symbol
_atom_site_fract_x
_atom_site_fract_y
_atom_site_fract_z
Sr1 Sr 0.0000 0.0000 0.0000
H1 H 0.0021 0.3364 0.1842
H2 H 0.0085 0.6779 0.8038
H3 H 0.0920 0.2043 0.2925
H4 H 0.0976 0.8059 0.6940
H5 H 0.1668 0.5123 0.8004
H6 H 0.1696 0.5149 0.1943
H7 H 0.1906 0.1058 0.7078
H8 H 0.2110 0.9482 0.3487
O1 O 0.0001 0.5060 0.1099
O2 O 0.0024 0.7826 0.7557
O3 O 0.0061 0.2318 0.7647
O4 O 0.2223 0.0079 0.7514
O5 O 0.2277 0.0267 0.2538
```

Most stable pick: ii. Distance to second place: 0.020 eV/atom.

i.
The following is a PBE-GGA calculation of a relaxed SrH4O3 crystal, from Materials Project.

Geometry as CIF:
```
data_SrH4O3
_space_group_name_H-M_alt 'P m c 21'
_space_group_IT_number 26
_space_group_name_Hall 'P 2c -2'
_cell_length_a 3.6877
_cell_length_b 6.2305
_cell_length_c 6.7690
_cell_angle_alpha 90.00
_cell_angle_beta 90.00
_cell_angle_gamma 90.00
loop_
_atom_site_label
_atom_site_type_symbol
_atom_site_fract_x
_atom_site_fract_y
_atom_site_fract_z
Sr1 Sr 0.0000 0.1263 0.0000
H1 H 0.2096 0.3801 0.5820
H2 H 0.5000 0.2038 0.3452
H3 H 0.5000 0.4667 0.8574
O1 O 0.0000 0.2868 0.6274
O2 O 0.5000 0.0619 0.2842
O3 O 0.5000 0.4392 0.9993
```

ii.
# SrH4O3 PBE-GGA optimized geometry
# largest piezoelectric modulus = 1.24 C/m2
data_SrH4O3
_space_group_name_H-M_alt 'P 1'
_space_group_IT_number 1
_space_group_name_Hall 'P 1'
_cell_length_a 3.8033
_cell_length_b 5.7869
_cell_length_c 7.1898
_cell_angle_alpha 82.98
_cell_angle_beta 89.03
_cell_angle_gamma 82.07
loop_
_atom_site_label
_atom_site_type_symbol
_atom_site_fract_x
_atom_site_fract_y
_atom_site_fract_z
Sr1 Sr 0.0000 0.0000 0.0000
Sr2 Sr 0.0121 0.2502 0.5130
H1 H 0.1451 0.4722 0.8723
H2 H 0.1507 0.7402 0.4153
H3 H 0.4479 0.4836 0.1204
H4 H 0.4776 0.5654 0.6259
H5 H 0.5485 0.0757 0.2764
H6 H 0.5761 0.8694 0.6977
H7 H 0.6690 0.5450 0.9392
H8 H 0.7295 0.7442 0.4086
O1 O 0.3853 0.1947 0.2009
O2 O 0.4615 0.5600 0.4912
O3 O 0.4806 0.6259 0.0303
O4 O 0.5240 0.0303 0.7290
O5 O 0.9210 0.8463 0.3661
O6 O 0.9346 0.4175 0.8254

iii.
# SrH4O3 PBE-GGA optimized geometry
# largest piezoelectric modulus = 0.72 C/m2
data_SrH4O3
_space_group_name_H-M_alt 'P 1'
_space_group_IT_number 1
_space_group_name_Hall 'P 1'
_cell_length_a 3.9372
_cell_length_b 5.6802
_cell_length_c 7.5765
_cell_angle_alpha 90.32
_cell_angle_beta 92.47
_cell_angle_gamma 93.91
loop_
_atom_site_label
_atom_site_type_symbol
_atom_site_fract_x
_atom_site_fract_y
_atom_site_fract_z
Sr1 Sr 0.0000 0.0000 0.0000
Sr2 Sr 0.0088 0.2712 0.4815
H1 H 0.2149 0.7437 0.3624
H2 H 0.3261 0.5991 0.8553
H3 H 0.4690 0.9081 0.7271
H4 H 0.4963 0.0379 0.2601
H5 H 0.5062 0.4525 0.2818
H6 H 0.6182 0.1861 0.7293
H7 H 0.7917 0.4883 0.8431
H8 H 0.8011 0.7352 0.3620
O1 O 0.0157 0.8459 0.3371
O2 O 0.4697 0.7448 0.8833
O3 O 0.4808 0.0627 0.6499
O4 O 0.5070 0.5502 0.3916
O5 O 0.5341 0.1685 0.1793
O6 O 0.9264 0.3576 0.8072

Most stable pick: i. Distance to second place: 0.033 eV/atom.

i.
The following is a PBE-GGA calculation of a relaxed SrH4O6 crystal, from Materials Project.

Geometry as CIF:
```
data_SrH4O6
_space_group_name_H-M_alt 'C 1 2/c 1'
_space_group_IT_number 15
_space_group_name_Hall '-C 2yc'
_cell_length_a 7.8308
_cell_length_b 8.7522
_cell_length_c 6.0579
_cell_angle_alpha 90.00
_cell_angle_beta 90.86
_cell_angle_gamma 90.00
loop_
_atom_site_label
_atom_site_type_symbol
_atom_site_fract_x
_atom_site_fract_y
_atom_site_fract_z
Sr1 Sr 0.0000 0.1924 0.2500
H1 H 0.1575 0.4471 0.9235
H2 H 0.1600 0.1598 0.7455
O1 O 0.1501 0.0820 0.6107
O2 O 0.1661 0.4343 0.4385
O3 O 0.1843 0.2747 0.9140
```

ii.
The following is a PBE-GGA calculation of a relaxed SrH4O6 crystal, from Materials Project.

Geometry as CIF:
```
data_SrH4O6
_space_group_name_H-M_alt 'C 1 c 1'
_space_group_IT_number 9
_space_group_name_Hall 'C -2yc'
_cell_length_a 8.4479
_cell_length_b 5.8530
_cell_length_c 9.3884
_cell_angle_alpha 90.00
_cell_angle_beta 106.95
_cell_angle_gamma 90.00
loop_
_atom_site_label
_atom_site_type_symbol
_atom_site_fract_x
_atom_site_fract_y
_atom_site_fract_z
Sr1 Sr 0.0000 0.1148 0.0000
H1 H 0.0802 0.2757 0.7262
H2 H 0.1575 0.1447 0.3518
H3 H 0.2348 0.4106 0.6238
H4 H 0.2595 0.1576 0.7962
O1 O 0.1416 0.1228 0.7542
O2 O 0.1742 0.2400 0.4413
O3 O 0.3000 0.3075 0.0512
O4 O 0.3179 0.4747 0.1736
O5 O 0.4858 0.0684 0.8344
O6 O 0.4921 0.0110 0.7001
```

iii.
The following is a PBE-GGA calculation of a relaxed SrH4O6 crystal, from Materials Project.

Geometry as CIF:
```
data_SrH4O6
_space_group_name_H-M_alt 'C 1 2/c 1'
_space_group_IT_number 15
_space_group_name_Hall '-C 2yc'
_cell_length_a 8.2413
_cell_length_b 6.0126
_cell_length_c 8.5318
_cell_angle_alpha 90.00
_cell_angle_beta 101.30
_cell_angle_gamma 90.00
loop_
_atom_site_label
_atom_site_type_symbol
_atom_site_fract_x
_atom_site_fract_y
_atom_site_fract_z
Sr1 Sr 0.0000 0.1665 0.2500
H1 H 0.0898 0.2977 0.6306
H2 H 0.2047 0.4815 0.9470
O1 O 0.0183 0.4707 0.9199
O2 O 0.1699 0.0141 0.5422
O3 O 0.1758 0.1706 0.6785
```

iv.
The following is a PBE-GGA calculation of a relaxed SrH4O6 crystal, from Materials Project.

Geometry as CIF:
```
data_SrH4O6
_space_group_name_H-M_alt 'C 1 c 1'
_space_group_IT_number 9
_space_group_name_Hall 'C -2yc'
_cell_length_a 8.7081
_cell_length_b 5.9391
_cell_length_c 9.4078
_cell_angle_alpha 90.00
_cell_angle_beta 105.00
_cell_angle_gamma 90.00
loop_
_atom_site_label
_atom_site_type_symbol
_atom_site_fract_x
_atom_site_fract_y
_atom_site_fract_z
Sr1 Sr 0.0000 0.1390 0.0000
H1 H 0.0495 0.2623 0.7133
H2 H 0.1273 0.2857 0.3659
H3 H 0.1823 0.3462 0.5336
H4 H 0.1997 0.0937 0.7773
O1 O 0.0808 0.1019 0.7433
O2 O 0.1811 0.2224 0.4621
O3 O 0.2309 0.4006 0.1243
O4 O 0.2906 0.3083 0.0174
O5 O 0.3890 0.0216 0.3082
O6 O 0.4626 0.0140 0.7008
```

Most stable pick: iv. Distance to second place: 0.123 eV/atom.